Here is an optimized crystal structure of KNaBi4O12 from the Materials Project. Energies are from PBE.

Unit cell a=8.430 b=8.230 c=8.348 alpha=90.00 beta=90.00 gamma=90.00
Space group Amm2 (No. 38)
One atom of each set of equivalent atoms:
K 0.000 0.000 0.000 (multiplicity 2)
Na 0.500 0.000 0.466 (multiplicity 2)
Bi 0.253 0.248 0.731 (multiplicity 8)
O 0.000 0.202 0.728 (multiplicity 4)
O 0.209 0.000 0.287 (multiplicity 4)
O 0.256 0.192 0.982 (multiplicity 8)
O 0.307 0.000 0.675 (multiplicity 4)
O 0.500 0.193 0.257 (multiplicity 4)

Properties
Energy relative to the elements, kcal/mol of atoms: -26.3
V, Å³ per atom: 16.09

=====

Here is an optimized crystal structure of In3Au7 from the Materials Project. Energies are from PBE.

Unit cell a=12.5094 b=12.5094 c=8.7497 alpha=90.00 beta=90.00 gamma=120.00
Space group P-3 (No. 147)
One atom of each set of equivalent atoms:
In 0.0206 0.8336 0.2487 (multiplicity 6)
In 0.1410 0.6431 0.0412 (multiplicity 6)
In 0.1658 0.4751 0.5391 (multiplicity 6)
Au 0.0000 0.0000 0.0000 (multiplicity 1)
Au 0.0000 0.0000 0.5000 (multiplicity 1)
Au 0.0068 0.7770 0.5740 (multiplicity 6)
Au 0.0369 0.7941 0.9154 (multiplicity 6)
Au 0.0863 0.6447 0.3658 (multiplicity 6)
Au 0.1068 0.4217 0.8742 (multiplicity 6)
Au 0.1122 0.6417 0.7045 (multiplicity 6)
Au 0.1374 0.4392 0.2089 (multiplicity 6)
Au 0.3333 0.6667 0.3248 (multiplicity 2)
Au 0.3333 0.6667 0.8339 (multiplicity 2)

Properties
Energy relative to the elements, kcal/mol of atoms: -3.1
V, Å³ per atom: 19.76

=====

Here is an optimized crystal structure of Bi5BO10 from the Materials Project. Energies are from PBE.

Unit cell a=8.480 b=22.439 c=5.651 alpha=90.00 beta=106.83 gamma=90.00
Space group P2_1/c (No. 14)
One atom of each set of equivalent atoms:
Bi 0.005 0.196 0.219 (multiplicity 4)
Bi 0.284 0.058 0.414 (multiplicity 4)
Bi 0.337 0.686 0.949 (multiplicity 4)
Bi 0.354 0.557 0.486 (multiplicity 4)
Bi 0.361 0.185 0.954 (multiplicity 4)
B 0.001 0.580 0.794 (multiplicity 4)
O 0.078 0.031 0.829 (multiplicity 4)
O 0.085 0.112 0.571 (multiplicity 4)
O 0.153 0.244 0.988 (multiplicity 4)
O 0.156 0.596 0.785 (multiplicity 4)
O 0.159 0.740 0.060 (multiplicity 4)
O 0.249 0.139 0.214 (multiplicity 4)
O 0.389 0.647 0.328 (multiplicity 4)
O 0.463 0.104 0.712 (multiplicity 4)
O 0.476 0.024 0.218 (multiplicity 4)
O 0.486 0.247 0.271 (multiplicity 4)

Properties
Energy relative to the elements, kcal/mol of atoms: -39.1
V, Å³ per atom: 16.08

=====

Here is an optimized crystal structure of RbOs2O9 from the Materials Project. Energies are from PBE.

Unit cell a=10.679 b=5.895 c=13.534 alpha=90.00 beta=90.00 gamma=90.00
Space group Pna2_1 (No. 33)
One atom of each set of equivalent atoms:
Rb 0.117 0.247 0.000 (multiplicity 4)
Os 0.101 0.310 0.335 (multiplicity 4)
Os 0.186 0.210 0.650 (multiplicity 4)
O 0.023 0.757 0.913 (multiplicity 4)
O 0.029 0.273 0.220 (multiplicity 4)
O 0.118 0.007 0.574 (multiplicity 4)
O 0.118 0.242 0.766 (multiplicity 4)
O 0.134 0.585 0.374 (multiplicity 4)
O 0.140 0.458 0.590 (multiplicity 4)
O 0.151 0.735 0.140 (multiplicity 4)
O 0.211 0.108 0.368 (multiplicity 4)
O 0.243 0.386 0.220 (multiplicity 4)

Properties
Energy relative to the elements, kcal/mol of atoms: -34.3
V, Å³ per atom: 17.75

=====

Here is an optimized crystal structure of Be2ReCl from the Materials Project. Energies are from PBE.

Unit cell a=5.841 b=5.841 c=5.841 alpha=90.00 beta=90.00 gamma=90.00
Space group F-43m (No. 216)
One atom of each set of equivalent atoms:
Be 0.000 0.000 0.000 (multiplicity 4)
Be 0.250 0.250 0.250 (multiplicity 4)
Re 0.000 0.000 0.500 (multiplicity 4)
Cl 0.250 0.250 0.750 (multiplicity 4)

Properties
Energy relative to the elements, kcal/mol of atoms: 22.1
V, Å³ per atom: 12.45

=====

Here is an optimized crystal structure of NaIO4 from the Materials Project. Energies are from PBE.

Unit cell a=5.434 b=5.434 c=12.170 alpha=90.00 beta=90.00 gamma=90.00
Space group I4_1/a (No. 88, origin choice 2)
One atom of each set of equivalent atoms:
Na 0.000 0.250 0.125 (multiplicity 4)
I 0.000 0.250 0.625 (multiplicity 4)
O 0.150 0.485 0.705 (multiplicity 16)

Properties
Energy relative to the elements, kcal/mol of atoms: -25.2
V, Å³ per atom: 14.97

=====

Here is an optimized crystal structure of Zr3Ti2Si3 from the Materials Project. Energies are from PBE.

Unit cell a=7.8153 b=7.8153 c=5.3303 alpha=90.00 beta=90.00 gamma=120.00
Space group P6_3/mcm (No. 193)
One atom of each set of equivalent atoms:
Zr 0.0000 0.2510 0.2500 (multiplicity 6)
Ti 0.3333 0.6667 0.0000 (multiplicity 4)
Si 0.0000 0.3986 0.7500 (multiplicity 6)

Properties
Energy relative to the elements, kcal/mol of atoms: -19.0
V, Å³ per atom: 17.62

=====

Here is an optimized crystal structure of Li2MgGe from the Materials Project. Energies are from PBE.

Unit cell a=6.449 b=6.449 c=6.449 alpha=90.00 beta=90.00 gamma=90.00
Space group F-43m (No. 216)
One atom of each set of equivalent atoms:
Li 0.000 0.000 0.000 (multiplicity 4)
Li 0.250 0.250 0.250 (multiplicity 4)
Mg 0.000 0.000 0.500 (multiplicity 4)
Ge 0.250 0.250 0.750 (multiplicity 4)

Properties
Energy relative to the elements, kcal/mol of atoms: -7.6
V, Å³ per atom: 16.76

=====

Here is an optimized crystal structure of MgTe4Mo2W2S4 from the Materials Project. Energies are from PBE.

Unit cell a=5.833 b=3.367 c=43.793 alpha=90.00 beta=90.15 gamma=90.00
Space group Cm (No. 8)
One atom of each set of equivalent atoms:
Mg 0.000 0.000 0.000 (multiplicity 2)
Te 0.001 0.000 0.328 (multiplicity 2)
Te 0.167 0.500 0.678 (multiplicity 2)
Te 0.168 0.500 0.764 (multiplicity 2)
Te 0.499 0.500 0.241 (multiplicity 2)
Mo 0.166 0.500 0.904 (multiplicity 2)
Mo 0.167 0.500 0.285 (multiplicity 2)
W 0.001 0.000 0.721 (multiplicity 2)
W 0.499 0.500 0.105 (multiplicity 2)
S 0.000 0.000 0.939 (multiplicity 2)
S 0.165 0.500 0.070 (multiplicity 2)
S 0.166 0.500 0.139 (multiplicity 2)
S 0.499 0.500 0.870 (multiplicity 2)

Properties
Energy relative to the elements, kcal/mol of atoms: -12.2
V, Å³ per atom: 33.08

=====

Here is an optimized crystal structure of BaAl2Te4 from the Materials Project. Energies are from PBE.

Unit cell a=8.699 b=8.699 c=6.755 alpha=90.00 beta=90.00 gamma=90.00
Space group P4/nbm (No. 125, origin choice 2)
One atom of each set of equivalent atoms:
Ba 0.250 0.250 0.000 (multiplicity 2)
Al 0.250 0.750 0.000 (multiplicity 2)
Al 0.250 0.750 0.500 (multiplicity 2)
Te 0.083 0.583 0.250 (multiplicity 8)

Properties
Energy relative to the elements, kcal/mol of atoms: -26.3
V, Å³ per atom: 36.51

=====

Here is an optimized crystal structure of Ba4Cu3Si20 from the Materials Project. Energies are from PBE.

Unit cell a=10.360 b=10.360 c=10.360 alpha=90.00 beta=90.00 gamma=90.00
Space group Pm-3n (No. 223)
One atom of each set of equivalent atoms:
Ba 0.000 0.000 0.000 (multiplicity 2)
Ba 0.000 0.250 0.500 (multiplicity 6)
Cu 0.000 0.500 0.250 (multiplicity 6)
Si 0.000 0.311 0.119 (multiplicity 24)
Si 0.184 0.184 0.184 (multiplicity 16)

Properties
Energy relative to the elements, kcal/mol of atoms: -3.7
V, Å³ per atom: 20.59

=====

Here is an optimized crystal structure of U4Ga12Co from the Materials Project. Energies are from PBE.

Unit cell a=8.558 b=8.558 c=8.558 alpha=90.00 beta=90.00 gamma=90.00
Space group Im-3m (No. 229)
One atom of each set of equivalent atoms:
U 0.250 0.250 0.250 (multiplicity 8)
Ga 0.000 0.000 0.282 (multiplicity 12)
Ga 0.000 0.250 0.500 (multiplicity 12)
Co 0.000 0.000 0.000 (multiplicity 2)

Properties
Energy relative to the elements, kcal/mol of atoms: -5.9
V, Å³ per atom: 18.44

=====

Total DFT energy (no corrections): -89.64, -32.51, -95.86, -79.62, -17.32, -26.46, -64.50, -11.36, -83.20, -28.28, -134.26, -92.99 (eV/f.u.)